Below is an optimized crystal structure of Na6Hf6Mg2Si5S7O48, with properties calculated at the PBE level.

## Properties
Uncorrected energy: -7.260 eV per atom
Space group: P1, No. 1

Cell: 17.8716 8.9666 23.2385 Å, 89.99 90.03 120.14°
Positions (direct):
Na 0.6552 0.3458 0.5820
Na 0.5220 0.6907 0.5838
Na 0.8229 0.9539 0.5825
Na 0.1537 0.9617 0.0845
Na 0.3226 0.6929 0.0849
Na 0.0219 0.3539 0.0863
Na 0.0045 0.9946 0.4953
Na 0.4960 0.0058 0.5002
Na 0.9970 0.9869 0.0023
Na 0.5029 0.0066 0.9998
Na 0.3284 0.3228 0.8212
Na 0.8291 0.3305 0.8338
Na 0.3271 0.3259 0.3349
Na 0.8346 0.3422 0.3249
Na 0.1642 0.6650 0.1612
Na 0.6719 0.6753 0.1713
Na 0.1715 0.6675 0.6669
Na 0.6651 0.6645 0.6564
Hf 0.0000 0.9908 0.3552
Hf 0.5023 0.9987 0.3529
Hf 0.0029 0.0053 0.8523
Hf 0.4995 0.9974 0.8505
Hf 0.0059 0.0051 0.6462
Hf 0.4932 0.0039 0.6443
Hf 0.9951 0.9841 0.1482
Hf 0.5036 0.0063 0.1498
Hf 0.3281 0.3181 0.9855
Hf 0.8330 0.3468 0.9782
Hf 0.3323 0.3187 0.4774
Hf 0.8327 0.3480 0.4828
Hf 0.6722 0.6790 0.0158
Hf 0.1674 0.6676 0.5117
Hf 0.1647 0.6624 0.3196
Hf 0.6727 0.6804 0.3094
Hf 0.1712 0.6645 0.8083
Hf 0.6723 0.6779 0.8159
Mg 0.3347 0.3229 0.6895
Mg 0.8268 0.3311 0.6784
Mg 0.3250 0.3194 0.1817
Mg 0.8373 0.3474 0.1919
Mg 0.1659 0.6688 0.0251
Mg 0.6666 0.6648 0.5244
Si 0.6500 0.0081 0.2493
Si 0.8552 0.7022 0.2509
Si 0.1500 0.2910 0.7491
Si 0.3558 0.0103 0.7505
Si 0.4761 0.3384 0.5854
Si 0.6886 0.0405 0.5849
Si 0.8349 0.6284 0.5864
Si 0.9761 0.6170 0.0857
Si 0.3361 0.0423 0.0858
Si 0.1868 0.3361 0.0862
Si 0.8150 0.6709 0.9154
Si 0.6658 0.9614 0.9169
Si 0.3147 0.9574 0.4151
Si 0.1666 0.3730 0.4166
Si 0.0172 0.6606 0.4168
S 0.1480 0.0024 0.2502
S 0.3544 0.7056 0.2493
S 0.0006 0.2913 0.2495
S 0.4973 0.2906 0.2511
S 0.6472 0.2922 0.7501
S 0.9973 0.7052 0.7506
S 0.5005 0.7082 0.7493
S 0.8556 0.0048 0.7493
S 0.9798 0.3381 0.5854
S 0.1899 0.0420 0.5847
S 0.3298 0.6169 0.5848
S 0.4794 0.6212 0.0846
S 0.8314 0.0446 0.0843
S 0.6885 0.3353 0.0840
S 0.3117 0.6662 0.9177
S 0.0227 0.3784 0.9174
S 0.5216 0.3776 0.9162
S 0.1669 0.9550 0.9169
S 0.8109 0.9566 0.4183
S 0.6661 0.3784 0.4171
S 0.5228 0.6667 0.4176
O 0.1044 0.0239 0.3010
O 0.5961 0.0230 0.3046
O 0.4089 0.7974 0.3004
O 0.9142 0.8108 0.3057
O 0.4858 0.1808 0.3020
O 0.9924 0.1858 0.3005
O 0.0966 0.1701 0.8053
O 0.6028 0.1832 0.8022
O 0.4925 0.7998 0.8016
O 0.9860 0.7918 0.8024
O 0.4145 0.0205 0.8070
O 0.9082 0.0189 0.8014
O 0.3993 0.9643 0.6963
O 0.8943 0.9739 0.6971
O 0.0833 0.1970 0.6950
O 0.5938 0.2106 0.6980
O 0.0123 0.8158 0.6991
O 0.5163 0.8160 0.6977
O 0.3963 0.8157 0.1962
O 0.8970 0.8307 0.1945
O 0.0143 0.2119 0.1958
O 0.5123 0.2094 0.1988
O 0.0944 0.9788 0.1969
O 0.5839 0.9695 0.1940
O 0.4340 0.3781 0.6395
O 0.9406 0.3600 0.6373
O 0.2404 0.1230 0.6361
O 0.7499 0.1208 0.6398
O 0.3184 0.5167 0.6366
O 0.8176 0.5104 0.6415
O 0.4410 0.5203 0.1362
O 0.9326 0.4872 0.1380
O 0.3189 0.1295 0.1396
O 0.8164 0.1162 0.1358
O 0.2518 0.3795 0.1387
O 0.7400 0.3616 0.1351
O 0.2317 0.2965 0.0280
O 0.7254 0.3045 0.0308
O 0.4252 0.5443 0.0313
O 0.9170 0.5310 0.0267
O 0.3532 0.1653 0.0268
O 0.8442 0.1462 0.0312
O 0.2254 0.1459 0.5315
O 0.7321 0.1675 0.5277
O 0.3453 0.5435 0.5321
O 0.8529 0.5430 0.5282
O 0.4167 0.3046 0.5273
O 0.9257 0.3039 0.5328
O 0.2738 0.6931 0.9690
O 0.7667 0.6932 0.9721
O 0.0742 0.4523 0.9692
O 0.5741 0.4572 0.9687
O 0.1547 0.8565 0.9692
O 0.6497 0.8349 0.9725
O 0.2711 0.8433 0.4730
O 0.7723 0.8508 0.4692
O 0.1512 0.4623 0.4735
O 0.6535 0.4527 0.4692
O 0.0785 0.6952 0.4736
O 0.5741 0.6959 0.4692
O 0.0648 0.6375 0.3601
O 0.5626 0.6399 0.3654
O 0.2542 0.8694 0.3586
O 0.7562 0.8709 0.3657
O 0.1831 0.4948 0.3600
O 0.6765 0.4830 0.3649
O 0.0625 0.4852 0.8655
O 0.5632 0.4826 0.8644
O 0.1778 0.8730 0.8650
O 0.6778 0.8624 0.8610
O 0.2574 0.6410 0.8656
O 0.7522 0.6385 0.8599
O 0.0096 0.8345 0.4107
O 0.5120 0.8218 0.4086
O 0.4108 0.9797 0.4077
O 0.8979 0.9773 0.4090
O 0.0801 0.1861 0.4083
O 0.5880 0.2014 0.4089
O 0.0117 0.2015 0.9084
O 0.5127 0.2043 0.9100
O 0.0895 0.9775 0.9092
O 0.5796 0.9790 0.9092
O 0.3996 0.8219 0.9086
O 0.9098 0.8423 0.9082
O 0.4898 0.1664 0.5902
O 0.9856 0.1744 0.5909
O 0.1004 0.0215 0.5904
O 0.5904 0.0187 0.5925
O 0.4126 0.7931 0.5899
O 0.9199 0.8280 0.5924
O 0.4863 0.7961 0.0892
O 0.9904 0.8165 0.0905
O 0.4210 0.0119 0.0902
O 0.9117 0.0299 0.0889
O 0.0897 0.1614 0.0907
O 0.5994 0.1778 0.0897
O 0.3461 0.1752 0.7475
O 0.8475 0.1575 0.7454
O 0.2442 0.3202 0.7432
O 0.7327 0.3102 0.7468
O 0.4226 0.5406 0.7461
O 0.9223 0.5337 0.7446
O 0.3493 0.5386 0.2440
O 0.8447 0.5178 0.2466
O 0.4223 0.3108 0.2437
O 0.9235 0.3050 0.2440
O 0.2334 0.1575 0.2453
O 0.7436 0.1673 0.2419
O 0.3236 0.5130 0.9226
O 0.8220 0.4973 0.9213
O 0.4351 0.3619 0.9224
O 0.9339 0.3525 0.9230
O 0.2455 0.1335 0.9214
O 0.7531 0.1454 0.9252
O 0.3235 0.1477 0.4215
O 0.8198 0.1292 0.4228
O 0.2533 0.3596 0.4258
O 0.7432 0.3563 0.4212
O 0.4341 0.5153 0.4230
O 0.9231 0.4859 0.4230
O 0.1758 0.5000 0.0738
O 0.6750 0.4859 0.0748
O 0.0731 0.6510 0.0749
O 0.5666 0.6423 0.0758
O 0.2528 0.8555 0.0740
O 0.7547 0.8637 0.0764
O 0.1773 0.8661 0.5781
O 0.6748 0.8504 0.5747
O 0.2553 0.6464 0.5782
O 0.7519 0.6509 0.5753
O 0.0676 0.4886 0.5785
O 0.5736 0.4964 0.5753
O 0.1541 0.8436 0.2546
O 0.6489 0.8228 0.2588
O 0.2690 0.6928 0.2540
O 0.7585 0.6876 0.2583
O 0.0804 0.4661 0.2545
O 0.5779 0.4609 0.2583
O 0.1494 0.4745 0.7592
O 0.6521 0.4627 0.7575
O 0.0777 0.6953 0.7589
O 0.5788 0.6903 0.7583
O 0.2599 0.8317 0.7595
O 0.7682 0.8441 0.7561